First-principles (PBE-GGA) data for a relaxed FeP crystal, as listed in Materials Project.

Cell and atoms, written as POSCAR:
```
FeP
1.0
5.148 0.000 0.000
0.000 3.053 0.000
0.000 0.000 5.759
Fe P
4 4
Direct
0.001 0.250 0.202
0.499 0.750 0.702
0.501 0.250 0.298
0.999 0.750 0.798
0.191 0.250 0.567
0.309 0.750 0.067
0.691 0.250 0.933
0.809 0.750 0.433
```

Results
Space group: Pnma
Calculated total energy (eV per atom): -7.540
Formation energy from the elements (meV per atom): -598